## AgBiP2Se6 (GGA-PBE)

Data for an optimized crystal structure of AgBiP2Se6.

Properties
The space group is R-3 (148). As for the energy of formation: -0.47 eV per atom.

a b c (Å): 14.862 14.862 14.862
angles (deg): 26.27 26.27 26.27
Fractional coordinates of all 20 atoms:
Se: 0.752 0.124 0.499
P: 0.223 0.223 0.223
Se: 0.270 0.615 0.992
Se: 0.248 0.876 0.501
Se: 0.615 0.992 0.270
Se: 0.124 0.499 0.752
Ag: 0.594 0.594 0.594
Se: 0.385 0.008 0.730
Se: 0.992 0.270 0.615
Bi: 0.913 0.913 0.913
Se: 0.008 0.730 0.385
Se: 0.730 0.385 0.008
Se: 0.499 0.752 0.124
Se: 0.876 0.501 0.248
Ag: 0.406 0.406 0.406
P: 0.724 0.724 0.724
Se: 0.501 0.248 0.876
Bi: 0.087 0.087 0.087
P: 0.777 0.777 0.777
P: 0.276 0.276 0.276

***

## Rb2NaBiCl6 (GGA-PBE)

Data for an optimized crystal structure of Rb2NaBiCl6.

Properties
The space group is Fm-3m (225). As for the energy of formation: -1.93 eV per atom.

a b c (Å): 7.744 7.744 7.744
angles (deg): 60.00 60.00 60.00
Fractional coordinates of all 10 atoms:
Rb: 0.250 0.250 0.250
Bi: 0.000 0.000 0.000
Cl: 0.248 0.752 0.752
Cl: 0.752 0.248 0.248
Rb: 0.750 0.750 0.750
Cl: 0.752 0.752 0.248
Cl: 0.248 0.248 0.752
Cl: 0.752 0.248 0.752
Cl: 0.248 0.752 0.248
Na: 0.500 0.500 0.500

***

## MgH6C2O6 (GGA-PBE)

Data for an optimized crystal structure of MgH6C2O6.

Properties
The space group is P2_1/c (14). As for the energy of formation: -1.51 eV per atom.

a b c (Å): 7.204 8.725 9.459
angles (deg): 81.94 90.00 90.00
Fractional coordinates of all 60 atoms:
O: 0.655 0.791 0.496
Mg: 0.500 0.500 0.000
O: 0.893 0.098 0.800
O: 0.728 0.088 0.599
H: 0.975 0.330 0.113
H: 0.848 0.468 0.777
Mg: 0.000 0.000 0.000
C: 0.225 0.965 0.274
C: 0.615 0.674 0.434
H: 0.475 0.670 0.387
H: 0.399 0.698 0.763
H: 0.025 0.670 0.887
O: 0.109 0.587 0.302
O: 0.609 0.413 0.198
O: 0.772 0.088 0.099
O: 0.393 0.902 0.700
H: 0.792 0.927 0.276
H: 0.890 0.209 0.492
O: 0.155 0.209 0.004
H: 0.708 0.927 0.776
O: 0.980 0.279 0.437
H: 0.208 0.073 0.724
H: 0.525 0.330 0.613
O: 0.020 0.721 0.563
H: 0.899 0.302 0.737
H: 0.110 0.791 0.508
H: 0.348 0.532 0.723
O: 0.391 0.587 0.802
O: 0.345 0.209 0.504
O: 0.228 0.912 0.901
C: 0.115 0.326 0.066
O: 0.724 0.563 0.421
O: 0.276 0.437 0.579
O: 0.520 0.279 0.937
C: 0.275 0.965 0.774
O: 0.776 0.563 0.921
O: 0.224 0.437 0.079
O: 0.272 0.912 0.401
H: 0.894 0.767 0.545
O: 0.845 0.791 0.996
O: 0.480 0.721 0.063
H: 0.610 0.209 0.992
C: 0.385 0.326 0.566
C: 0.885 0.674 0.934
C: 0.775 0.035 0.726
Mg: 0.000 0.500 0.500
H: 0.101 0.698 0.263
H: 0.606 0.767 0.045
H: 0.106 0.233 0.455
H: 0.394 0.233 0.955
O: 0.107 0.902 0.200
H: 0.390 0.791 0.008
O: 0.891 0.413 0.698
C: 0.725 0.035 0.226
O: 0.607 0.098 0.300
H: 0.152 0.532 0.223
H: 0.292 0.073 0.224
Mg: 0.500 0.000 0.500
H: 0.652 0.468 0.277
H: 0.601 0.302 0.237

***

## Ba2SnSe3F2 (GGA-PBE)

Data for an optimized crystal structure of Ba2SnSe3F2.

Properties
The space group is Pnma (62). As for the energy of formation: -2.25 eV per atom.

a b c (Å): 6.491 6.568 20.119
angles (deg): 90.00 90.00 90.00
Fractional coordinates of all 32 atoms:
F: 0.001 0.754 0.001
Se: 0.758 0.014 0.865
Ba: 0.746 0.005 0.073
Se: 0.246 0.977 0.750
F: 0.501 0.746 0.001
Se: 0.254 0.477 0.250
F: 0.001 0.754 0.499
Sn: 0.855 0.409 0.250
F: 0.501 0.746 0.499
Ba: 0.254 0.995 0.927
F: 0.999 0.246 0.501
F: 0.499 0.254 0.999
Se: 0.242 0.986 0.135
F: 0.999 0.246 0.999
Se: 0.258 0.486 0.635
Se: 0.746 0.523 0.750
Ba: 0.754 0.505 0.573
Se: 0.242 0.986 0.365
F: 0.499 0.254 0.501
Ba: 0.254 0.995 0.573
Sn: 0.145 0.591 0.750
Ba: 0.246 0.495 0.427
Se: 0.758 0.014 0.635
Se: 0.742 0.514 0.135
Sn: 0.645 0.909 0.750
Se: 0.258 0.486 0.865
Ba: 0.246 0.495 0.073
Se: 0.742 0.514 0.365
Se: 0.754 0.023 0.250
Sn: 0.355 0.091 0.250
Ba: 0.754 0.505 0.927
Ba: 0.746 0.005 0.427

***

## Li2AgF5 (GGA-PBE)

Data for an optimized crystal structure of Li2AgF5.

Properties
The space group is P1 (1). As for the energy of formation: -2.22 eV per atom. The maximum piezoelectric response is 1.19 C/m2.

a b c (Å): 3.658 5.013 5.961
angles (deg): 87.29 84.37 79.40
Fractional coordinates of all 8 atoms:
F: 0.789 0.942 0.326
F: 0.205 0.294 0.121
Ag: 0.925 0.037 0.006
F: 0.365 0.556 0.525
Li: 0.830 0.633 0.589
Li: 0.365 0.212 0.433
F: 0.648 0.775 0.894
F: 0.003 0.166 0.691

***

## La2AuO4 (GGA-PBE)

Data for an optimized crystal structure of La2AuO4.

Properties
The space group is I4/mmm (139). As for the energy of formation: -2.86 eV per atom.

a b c (Å): 6.887 6.887 6.887
angles (deg): 144.45 144.45 51.15
Fractional coordinates of all 7 atoms:
Au: 0.500 0.500 0.000
O: 0.750 0.250 0.500
O: 0.000 0.500 0.500
La: 0.847 0.847 0.000
O: 0.250 0.750 0.500
O: 0.500 0.000 0.500
La: 0.153 0.153 0.000

***

## LiTmPt2 (GGA-PBE)

Data for an optimized crystal structure of LiTmPt2.

Properties
The space group is Fm-3m (225). As for the energy of formation: -0.95 eV per atom.

a b c (Å): 4.623 4.623 4.623
angles (deg): 60.00 60.00 60.00
Fractional coordinates of all 4 atoms:
Tm: 0.000 0.000 0.000
Pt: 0.750 0.750 0.750
Pt: 0.250 0.250 0.250
Li: 0.500 0.500 0.500